(1)
# r²SCAN MgAg2, optimized geometry
data_MgAg2
_chemical_formula_sum 'Mg2 Ag4'
_space_group_name_H-M_alt 'P 1'
_space_group_IT_number 1
_cell_length_a 5.0963
_cell_length_b 5.0963
_cell_length_c 4.7951
_cell_angle_alpha 90.00
_cell_angle_beta 90.00
_cell_angle_gamma 121.73
loop_
_space_group_symop_operation_xyz
'x,y,z'
loop_
_atom_site_label
_atom_site_type_symbol
_atom_site_fract_x
_atom_site_fract_y
_atom_site_fract_z
_atom_site_occupancy
Mg1 Mg 0.8026 0.8026 0.7500 1
Mg2 Mg 0.1974 0.1974 0.2500 1
Ag1 Ag 0.5206 0.8526 0.2500 1
Ag2 Ag 0.1474 0.4794 0.7500 1
Ag3 Ag 0.4794 0.1474 0.7500 1
Ag4 Ag 0.8526 0.5206 0.2500 1
# Total DFT energy (no corrections) in eV per cell: -94.64
# Energy relative to the elements in eV per atom: -0.146
# Polymorph energy (0 for the lowest one) in meV per atom: 0
# Calculated volume in Å³ per atom: 17.655
# Symmetry: Cmcm (63)



(2)
# r²SCAN RbLa2C6N6ClO6, optimized geometry
data_RbLa2C6N6ClO6
_chemical_formula_sum 'Rb2 La4 C12 N12 Cl2 O12'
_space_group_name_H-M_alt 'P 1'
_space_group_IT_number 1
_cell_length_a 6.7859
_cell_length_b 6.7859
_cell_length_c 14.5887
_cell_angle_alpha 90.00
_cell_angle_beta 90.00
_cell_angle_gamma 120.00
loop_
_space_group_symop_operation_xyz
'x,y,z'
loop_
_atom_site_label
_atom_site_type_symbol
_atom_site_fract_x
_atom_site_fract_y
_atom_site_fract_z
_atom_site_occupancy
Rb1 Rb 0.6667 0.3333 0.2500 1
Rb2 Rb 0.3333 0.6667 0.7500 1
La1 La 0.3333 0.6667 0.0513 1
La2 La 0.6667 0.3333 0.5513 1
La3 La 0.6667 0.3333 0.9487 1
La4 La 0.3333 0.6667 0.4487 1
C1 C 0.9548 0.1678 0.0965 1
C2 C 0.8322 0.7870 0.0965 1
C3 C 0.2130 0.0452 0.0965 1
C4 C 0.0452 0.8322 0.5965 1
C5 C 0.1678 0.2130 0.5965 1
C6 C 0.7870 0.9548 0.5965 1
C7 C 0.0452 0.8322 0.9035 1
C8 C 0.1678 0.2130 0.9035 1
C9 C 0.7870 0.9548 0.9035 1
C10 C 0.9548 0.1678 0.4035 1
C11 C 0.8322 0.7870 0.4035 1
C12 C 0.2130 0.0452 0.4035 1
N1 N 0.1756 0.2217 0.0998 1
N2 N 0.7783 0.9539 0.0998 1
N3 N 0.0461 0.8244 0.0998 1
N4 N 0.8244 0.7783 0.5998 1
N5 N 0.2217 0.0461 0.5998 1
N6 N 0.9539 0.1756 0.5998 1
N7 N 0.8244 0.7783 0.9002 1
N8 N 0.2217 0.0461 0.9002 1
N9 N 0.9539 0.1756 0.9002 1
N10 N 0.1756 0.2217 0.4002 1
N11 N 0.7783 0.9539 0.4002 1
N12 N 0.0461 0.8244 0.4002 1
Cl1 Cl 0.3333 0.6667 0.2500 1
Cl2 Cl 0.6667 0.3333 0.7500 1
O1 O 0.9203 0.3368 0.0836 1
O2 O 0.6632 0.5835 0.0836 1
O3 O 0.4165 0.0797 0.0836 1
O4 O 0.0797 0.6632 0.5836 1
O5 O 0.3368 0.4165 0.5836 1
O6 O 0.5835 0.9203 0.5836 1
O7 O 0.0797 0.6632 0.9164 1
O8 O 0.3368 0.4165 0.9164 1
O9 O 0.5835 0.9203 0.9164 1
O10 O 0.9203 0.3368 0.4164 1
O11 O 0.6632 0.5835 0.4164 1
O12 O 0.4165 0.0797 0.4164 1
# Total DFT energy (no corrections) in eV per cell: -522.15
# Energy relative to the elements in eV per atom: -1.419
# Calculated volume in Å³ per atom: 13.222
# Symmetry: P6_3/m (176)



(3)
# r²SCAN Li3FeF6, optimized geometry
data_Li3FeF6
_chemical_formula_sum 'Li12 Fe4 F24'
_space_group_name_H-M_alt 'P 1'
_space_group_IT_number 1
_cell_length_a 4.9713
_cell_length_b 8.3799
_cell_length_c 9.4963
_cell_angle_alpha 90.00
_cell_angle_beta 90.00
_cell_angle_gamma 90.00
loop_
_space_group_symop_operation_xyz
'x,y,z'
loop_
_atom_site_label
_atom_site_type_symbol
_atom_site_fract_x
_atom_site_fract_y
_atom_site_fract_z
_atom_site_occupancy
Li1 Li 0.4967 0.4489 0.1054 1
Li2 Li 0.0072 0.8610 0.1242 1
Li3 Li 0.5002 0.0498 0.1458 1
Li4 Li 0.0002 0.5498 0.3542 1
Li5 Li 0.5072 0.3610 0.3758 1
Li6 Li 0.9967 0.9489 0.3946 1
Li7 Li 0.4967 0.0511 0.6054 1
Li8 Li 0.0072 0.6390 0.6242 1
Li9 Li 0.5002 0.4502 0.6458 1
Li10 Li 0.0002 0.9502 0.8542 1
Li11 Li 0.5072 0.1390 0.8758 1
Li12 Li 0.9967 0.5511 0.8946 1
Fe1 Fe 0.9992 0.2415 0.1291 1
Fe2 Fe 0.4992 0.7415 0.3709 1
Fe3 Fe 0.9992 0.2585 0.6291 1
Fe4 Fe 0.4992 0.7585 0.8709 1
F1 F 0.8225 0.0808 0.0086 1
F2 F 0.3311 0.2450 0.0232 1
F3 F 0.8409 0.4090 0.0210 1
F4 F 0.1474 0.0574 0.2299 1
F5 F 0.6781 0.2315 0.2419 1
F6 F 0.1838 0.3899 0.2527 1
F7 F 0.6838 0.8899 0.2473 1
F8 F 0.1781 0.7315 0.2581 1
F9 F 0.6474 0.5574 0.2701 1
F10 F 0.3409 0.9090 0.4790 1
F11 F 0.8311 0.7450 0.4768 1
F12 F 0.3225 0.5808 0.4914 1
F13 F 0.8225 0.4192 0.5086 1
F14 F 0.3311 0.2550 0.5232 1
F15 F 0.8409 0.0910 0.5210 1
F16 F 0.1474 0.4426 0.7299 1
F17 F 0.6781 0.2685 0.7419 1
F18 F 0.1838 0.1101 0.7527 1
F19 F 0.6838 0.6101 0.7473 1
F20 F 0.1781 0.7685 0.7581 1
F21 F 0.6474 0.9426 0.7701 1
F22 F 0.3409 0.5910 0.9790 1
F23 F 0.8311 0.7550 0.9768 1
F24 F 0.3225 0.9192 0.9914 1
# Total DFT energy (no corrections) in eV per cell: -279.78
# Energy relative to the elements in eV per atom: -2.962
# Polymorph energy (0 for the lowest one) in meV per atom: 3
# Calculated volume in Å³ per atom: 9.890
# Symmetry: Pna2_1 (33)



(4)
# r²SCAN U3Se5, optimized geometry
data_U3Se5
_chemical_formula_sum 'U12 Se20'
_space_group_name_H-M_alt 'P 1'
_space_group_IT_number 1
_cell_length_a 7.8414
_cell_length_b 8.3804
_cell_length_c 12.4741
_cell_angle_alpha 90.00
_cell_angle_beta 90.00
_cell_angle_gamma 90.00
loop_
_space_group_symop_operation_xyz
'x,y,z'
loop_
_atom_site_label
_atom_site_type_symbol
_atom_site_fract_x
_atom_site_fract_y
_atom_site_fract_z
_atom_site_occupancy
U1 U 0.5211 0.4994 0.3211 1
U2 U 0.9789 0.0006 0.8211 1
U3 U 0.4789 0.9994 0.6789 1
U4 U 0.0211 0.5006 0.1789 1
U5 U 0.4789 0.5006 0.6789 1
U6 U 0.0211 0.9994 0.1789 1
U7 U 0.5211 0.0006 0.3211 1
U8 U 0.9789 0.4994 0.8211 1
U9 U 0.0741 0.7500 0.4917 1
U10 U 0.4259 0.7500 0.9917 1
U11 U 0.9259 0.2500 0.5083 1
U12 U 0.5741 0.2500 0.0083 1
Se1 Se 0.8357 0.9557 0.5990 1
Se2 Se 0.6643 0.5443 0.0990 1
Se3 Se 0.1643 0.4557 0.4010 1
Se4 Se 0.3357 0.0443 0.9010 1
Se5 Se 0.1643 0.0443 0.4010 1
Se6 Se 0.3357 0.4557 0.9010 1
Se7 Se 0.8357 0.5443 0.5990 1
Se8 Se 0.6643 0.9557 0.0990 1
Se9 Se 0.8275 0.7500 0.3148 1
Se10 Se 0.6725 0.7500 0.8148 1
Se11 Se 0.1725 0.2500 0.6852 1
Se12 Se 0.3275 0.2500 0.1852 1
Se13 Se 0.4589 0.7500 0.5010 1
Se14 Se 0.0411 0.7500 0.0010 1
Se15 Se 0.5411 0.2500 0.4990 1
Se16 Se 0.9589 0.2500 0.9990 1
Se17 Se 0.1981 0.7500 0.7162 1
Se18 Se 0.3019 0.7500 0.2162 1
Se19 Se 0.8019 0.2500 0.2838 1
Se20 Se 0.6981 0.2500 0.7838 1
# Total DFT energy (no corrections) in eV per cell: -1298.94
# Energy relative to the elements in eV per atom: -1.669
# Calculated volume in Å³ per atom: 25.617
# Symmetry: Pnma (62)